MgV12Zn6O24 | GGA+U | optimized geometry

Structure (extended XYZ):
```
43
Lattice="-5.4732 2.6127 -1.0406 -3.6912 -2.2270 -4.2754 -15.6585 -9.0185 5.0624" Properties=species:S:1:pos:R:3 pbc="T T T"
Zn -1.7582 -0.2770 -0.5275
O -14.1807 -6.7373 2.3789
Mg -10.0079 -3.8930 -2.6848
V -17.6264 -7.3135 1.5606
Zn -12.2592 -6.3919 2.9212
O -15.9277 -5.0848 -0.9472
O -8.1129 -0.2858 -3.5020
O -9.1218 -3.8993 0.8204
V -7.1058 -1.1239 -1.8594
V -15.2209 -3.1773 -0.6527
O -13.5984 -3.8086 -1.6509
Zn -17.8845 -5.4489 -1.4122
Zn -20.2321 -8.8380 2.3122
O -5.4542 -1.7553 -2.9623
Zn -7.5312 -4.2114 1.7922
O -10.5126 -1.8626 -2.6025
O -21.0891 -7.8535 0.5828
O -10.7706 -4.9789 -1.2731
V -14.8998 -8.6255 2.0650
O -18.7112 -6.6212 -0.0644
O -13.4147 -6.2858 -0.4736
V -4.3592 -2.4356 -1.3341
Zn -12.2445 -1.6568 -3.4358
O -15.9327 -7.7368 0.4711
O -11.4194 -5.2393 1.4808
O -16.5402 -8.0265 3.1643
O -14.1844 -3.9846 1.0003
O -19.2758 -6.7812 2.6249
O -11.5534 -2.7401 0.3575
V -22.9765 -8.2164 0.1513
O -16.6552 -5.5020 1.9596
V -15.0491 -5.8765 0.7551
V -12.4783 -4.4890 -0.1318
V -9.6906 -2.4257 -0.5705
O -6.0222 -1.8534 -0.2888
O -8.7910 -0.5861 -0.7199
V -10.6626 -3.3979 2.0837
V -5.1687 0.1125 0.1619
O -6.2027 0.6471 -1.5670
O -18.5004 -9.1290 1.0459
O -8.1847 -2.9767 -2.1589
O -3.6351 -0.5859 -1.0698
V -15.7764 -6.2143 3.6676
```

## Properties
* space group: No. 1
* final energy: -0.5063 Ry/atom